## PbAu2 (meta-GGA r2SCAN)

Data for crystalline PbAu2 at its relaxed geometry.

## Properties
The energy of formation is -0.066 eV/atom.

CIF file:
```
data_PbAu2
_chemical_formula_sum 'Pb2 Au4'
_space_group_name_H-M_alt 'P 1'
_space_group_IT_number 1
_cell_length_a 5.6995
_cell_length_b 5.6995
_cell_length_c 5.6995
_cell_angle_alpha 60.00
_cell_angle_beta 60.00
_cell_angle_gamma 60.00
loop_
_space_group_symop_operation_xyz
'x,y,z'
loop_
_atom_site_label
_atom_site_type_symbol
_atom_site_fract_x
_atom_site_fract_y
_atom_site_fract_z
Pb1 Pb 0.1250 0.1250 0.1250
Pb2 Pb 0.8750 0.8750 0.8750
Au1 Au 0.5000 0.0000 0.5000
Au2 Au 0.0000 0.5000 0.5000
Au3 Au 0.5000 0.5000 0.5000
Au4 Au 0.5000 0.5000 0.0000
```